Entry 1:
# PBE DyMgAg, optimized geometry
# - E_tot: -3.284 eV/atom
# - Energy of formation: -26 kJ per mole of atoms
data_DyMgAg
_cell_length_a 7.6092
_cell_length_b 7.6092
_cell_length_c 4.2733
_cell_angle_alpha 90.00
_cell_angle_beta 90.00
_cell_angle_gamma 120.00
_symmetry_space_group_name_H-M 'P -6 2 m'
_symmetry_Int_Tables_number 189
_symmetry_space_group_name_Hall 'P -6 -2'
loop_
_atom_site_label
_atom_site_fract_x
_atom_site_fract_y
_atom_site_fract_z
Dy1 0.0000 0.4142 0.0000
Mg1 0.0000 0.7560 0.5000
Ag1 0.0000 0.0000 0.0000
Ag2 0.3333 0.6667 0.5000


Entry 2:
# PBE Dy2AgRu, optimized geometry
# - E_tot: -5.691 eV/atom
# - Energy of formation: -35 kJ per mole of atoms
data_Dy2AgRu
_cell_length_a 7.0208
_cell_length_b 7.0208
_cell_length_c 7.0208
_cell_angle_alpha 90.00
_cell_angle_beta 90.00
_cell_angle_gamma 90.00
_symmetry_space_group_name_H-M 'F m -3 m'
_symmetry_Int_Tables_number 225
_symmetry_space_group_name_Hall '-F 4 2 3'
loop_
_atom_site_label
_atom_site_fract_x
_atom_site_fract_y
_atom_site_fract_z
Dy1 0.2500 0.2500 0.2500
Ag1 0.0000 0.0000 0.0000
Ru1 0.0000 0.0000 0.5000


Entry 3:
# PBE Dy5AgS8, optimized geometry
# - E_tot: -6.032 eV/atom
# - Energy of formation: -203 kJ per mole of atoms
# - Total magnetic moment: 0.0 μB per formula unit
data_Dy5AgS8
_cell_length_a 8.3259
_cell_length_b 8.3259
_cell_length_c 8.3678
_cell_angle_alpha 90.00
_cell_angle_beta 90.00
_cell_angle_gamma 90.00
_symmetry_space_group_name_H-M 'I -4'
_symmetry_Int_Tables_number 82
loop_
_symmetry_equiv_pos_as_xyz
'x,y,z'
'y,-x,-z'
'-x,-y,z'
'-y,x,-z'
'x+1/2,y+1/2,z+1/2'
'y+1/2,-x+1/2,-z+1/2'
'-x+1/2,-y+1/2,z+1/2'
'-y+1/2,x+1/2,-z+1/2'
loop_
_atom_site_label
_atom_site_fract_x
_atom_site_fract_y
_atom_site_fract_z
Dy1 0.0000 0.0000 0.0000
Dy2 0.1348 0.2471 0.6186
Ag1 0.0000 0.5000 0.2500
S1 0.0690 0.1793 0.3020
S2 0.0727 0.3131 0.9316


Entry 4:
# PBE DyAgSb2, optimized geometry
# - E_tot: -4.535 eV/atom
# - Energy of formation: -68 kJ per mole of atoms
data_DyAgSb2
_cell_length_a 4.3278
_cell_length_b 4.3278
_cell_length_c 10.5521
_cell_angle_alpha 90.00
_cell_angle_beta 90.00
_cell_angle_gamma 90.00
_symmetry_space_group_name_H-M 'P 4/n m m'
_symmetry_Int_Tables_number 129
loop_
_symmetry_equiv_pos_as_xyz
'x,y,z'
'-x,-y,-z'
'-y+1/2,x,z'
'y+1/2,-x,-z'
'-x+1/2,-y+1/2,z'
'x+1/2,y+1/2,-z'
'y,-x+1/2,z'
'-y,x+1/2,-z'
'x+1/2,-y,-z'
'-x+1/2,y,z'
'-y,-x,-z'
'y,x,z'
'-x,y+1/2,-z'
'x,-y+1/2,z'
'y+1/2,x+1/2,-z'
'-y+1/2,-x+1/2,z'
loop_
_atom_site_label
_atom_site_fract_x
_atom_site_fract_y
_atom_site_fract_z
Dy1 0.2500 0.2500 0.2360
Ag1 0.2500 0.7500 0.5000
Sb1 0.2500 0.2500 0.6846
Sb2 0.2500 0.7500 0.0000


Entry 5:
# PBE DyAgSe2, optimized geometry
# - E_tot: -4.814 eV/atom
# - Energy of formation: -139 kJ per mole of atoms
data_DyAgSe2
_cell_length_a 4.2834
_cell_length_b 6.8488
_cell_length_c 13.8554
_cell_angle_alpha 90.00
_cell_angle_beta 90.00
_cell_angle_gamma 90.00
_symmetry_space_group_name_H-M 'P 21 21 21'
_symmetry_Int_Tables_number 19
loop_
_symmetry_equiv_pos_as_xyz
'x,y,z'
'-x+1/2,-y,z+1/2'
'x+1/2,-y+1/2,-z'
'-x,y+1/2,-z+1/2'
loop_
_atom_site_label
_atom_site_fract_x
_atom_site_fract_y
_atom_site_fract_z
Dy1 0.2283 0.2088 0.3717
Ag1 0.0020 0.2045 0.1241
Se1 0.2302 0.0892 0.7268
Se2 0.2349 0.4876 0.5271


Entry 6:
# PBE DyAgSe2, optimized geometry
# - E_tot: -4.780 eV/atom
# - Energy of formation: -136 kJ per mole of atoms
# - Total magnetic moment: 0.0 μB per formula unit
data_DyAgSe2
_cell_length_a 5.6761
_cell_length_b 5.6761
_cell_length_c 12.4935
_cell_angle_alpha 90.00
_cell_angle_beta 90.00
_cell_angle_gamma 90.00
_symmetry_space_group_name_H-M 'I 41 m d'
_symmetry_Int_Tables_number 109
_symmetry_space_group_name_Hall 'I 4bw -2'
loop_
_atom_site_label
_atom_site_fract_x
_atom_site_fract_y
_atom_site_fract_z
Dy1 0.0000 0.0000 0.0000
Ag1 0.0000 0.0000 0.5393
Se1 0.0000 0.0000 0.2300
Se2 0.0000 0.0000 0.7676